1.
Here is crystalline NaLa2In2PS5O24 at its relaxed geometry from the Materials Project. Energies are from PBE-GGA.

abc: 9.1505 9.1435 24.4910
angles: 89.93 90.17 119.80
Element x y z (fractional)
Na 0.9987 0.9866 0.9954
Na 0.6533 0.3316 0.8381
Na 0.6783 0.3315 0.3337
La 0.9997 0.9911 0.8490
La 0.0013 0.0078 0.1566
La 0.6755 0.3347 0.1902
La 0.6588 0.3344 0.9792
La 0.3396 0.6729 0.0170
La 0.3412 0.6743 0.8095
In 0.9991 0.0048 0.3551
In 0.0006 0.0008 0.6449
In 0.6649 0.3326 0.6767
In 0.6666 0.3331 0.4852
In 0.3330 0.6673 0.5177
In 0.3277 0.6596 0.3195
P 0.0068 0.3008 0.2610
P 0.6372 0.6680 0.9147
P 0.3329 0.9696 0.9145
S 0.2933 0.9911 0.2604
S 0.6984 0.7075 0.2604
S 0.3035 0.2862 0.7414
S 0.9817 0.6932 0.7405
S 0.7158 0.0198 0.7411
S 0.9601 0.3347 0.5813
S 0.3742 0.0398 0.5813
S 0.6655 0.6260 0.5814
S 0.9659 0.6394 0.0838
S 0.6742 0.0360 0.0837
S 0.3614 0.3272 0.0852
S 0.0324 0.3647 0.9146
S 0.6209 0.9586 0.4179
S 0.3392 0.3764 0.4188
S 0.0377 0.6645 0.4180
O 0.2037 0.0130 0.3074
O 0.8136 0.7930 0.3072
O 0.9790 0.1832 0.3101
O 0.2322 0.1878 0.7921
O 0.9537 0.7633 0.7915
O 0.8126 0.0452 0.7921
O 0.8039 0.9997 0.6931
O 0.1964 0.1983 0.6931
O 0.0027 0.8031 0.6929
O 0.7710 0.7971 0.2084
O 0.0239 0.2231 0.2070
O 0.2009 0.9697 0.2085
O 0.8856 0.3705 0.6299
O 0.4842 0.1134 0.6302
O 0.6295 0.5160 0.6302
O 0.8746 0.5428 0.1335
O 0.6704 0.1276 0.1334
O 0.4586 0.3321 0.1346
O 0.4450 0.3133 0.0353
O 0.8671 0.5544 0.0341
O 0.6860 0.1331 0.0340
O 0.4500 0.1516 0.5326
O 0.7014 0.5498 0.5326
O 0.8483 0.2984 0.5322
O 0.5466 0.6662 0.9679
O 0.1214 0.4487 0.9657
O 0.3268 0.8755 0.9675
O 0.5435 0.8552 0.4678
O 0.3107 0.4540 0.4683
O 0.1427 0.6928 0.4679
O 0.1130 0.6307 0.3694
O 0.5121 0.8823 0.3690
O 0.3734 0.4850 0.3700
O 0.1242 0.4604 0.8655
O 0.3293 0.8706 0.8628
O 0.5368 0.6641 0.8632
O 0.0186 0.8151 0.4092
O 0.7893 0.9753 0.4103
O 0.1900 0.2071 0.4107
O 0.0150 0.1948 0.9143
O 0.1773 0.9944 0.9154
O 0.8119 0.8303 0.9154
O 0.9795 0.1847 0.5907
O 0.2055 0.0212 0.5908
O 0.8151 0.7945 0.5910
O 0.9844 0.8100 0.0860
O 0.8254 0.0157 0.0851
O 0.1916 0.1740 0.0863
O 0.6986 0.1734 0.7345
O 0.4744 0.3027 0.7350
O 0.8276 0.5239 0.7337
O 0.6751 0.5342 0.2573
O 0.8482 0.3222 0.2577
O 0.4627 0.1453 0.2570
O 0.6607 0.5118 0.9117
O 0.8630 0.3485 0.9135
O 0.4954 0.1436 0.9123
O 0.6401 0.1323 0.4248
O 0.4939 0.3582 0.4264
O 0.8653 0.5102 0.4254
O 0.3461 0.4790 0.0833
O 0.1312 0.6505 0.0824
O 0.5209 0.8701 0.0834
O 0.3574 0.8713 0.5715
O 0.5142 0.6434 0.5713
O 0.1280 0.4858 0.5713
O 0.3116 0.8410 0.2676
O 0.5349 0.6994 0.2678
O 0.1670 0.4730 0.2677
O 0.3199 0.4537 0.7461
O 0.1316 0.6751 0.7457
O 0.5479 0.8691 0.7450

Computed properties:
As for the space group: No. 1.



2.
Here is crystalline NaLaInPS2O12 at its relaxed geometry from the Materials Project. Energies are from PBE-GGA.

abc: 9.1466 9.1498 24.3862
angles: 90.07 89.77 119.98
Element x y z (fractional)
Na 0.9821 0.9882 0.4990
Na 0.0084 0.9853 0.9991
Na 0.6567 0.3091 0.8288
Na 0.6529 0.3118 0.3364
Na 0.3180 0.6731 0.1630
Na 0.3529 0.6729 0.6623
La 0.9973 0.0003 0.8490
La 0.0073 0.9920 0.1483
La 0.6649 0.3317 0.1846
La 0.6666 0.3309 0.9822
La 0.3394 0.6834 0.3217
La 0.3429 0.6829 0.8093
In 0.0004 0.0008 0.3546
In 0.9857 0.9900 0.6453
In 0.6667 0.3321 0.6778
In 0.6674 0.3323 0.4873
In 0.3235 0.6737 0.0156
In 0.3550 0.6736 0.5168
P 0.2955 0.0064 0.2561
P 0.7103 0.0173 0.7422
P 0.6661 0.6226 0.5826
P 0.9803 0.6335 0.0811
P 0.3277 0.9611 0.9183
P 0.6451 0.9789 0.4213
S 0.7076 0.7047 0.2550
S 0.9988 0.2921 0.2545
S 0.3002 0.2891 0.7415
S 0.9870 0.6955 0.7423
S 0.9681 0.3370 0.5820
S 0.3675 0.0345 0.5831
S 0.6546 0.0138 0.0815
S 0.3622 0.3508 0.0806
S 0.6238 0.6713 0.9202
S 0.0475 0.3744 0.9183
S 0.3338 0.3624 0.4209
S 0.0292 0.6654 0.4228
O 0.1986 0.0139 0.3076
O 0.8055 0.7960 0.3040
O 0.9856 0.1909 0.3036
O 0.2278 0.1980 0.7941
O 0.9702 0.7696 0.7947
O 0.8037 0.0345 0.7968
O 0.8024 0.9959 0.6926
O 0.1936 0.1969 0.6943
O 0.0114 0.8063 0.6951
O 0.7847 0.7969 0.2034
O 0.0069 0.2109 0.2029
O 0.2035 0.9965 0.2021
O 0.8912 0.3627 0.6325
O 0.4727 0.1096 0.6328
O 0.6399 0.5162 0.6350
O 0.8902 0.5345 0.1340
O 0.6361 0.0959 0.1315
O 0.4577 0.3638 0.1311
O 0.4446 0.3254 0.0319
O 0.8761 0.5430 0.0300
O 0.6721 0.1156 0.0322
O 0.4451 0.1386 0.5335
O 0.6903 0.5399 0.5309
O 0.8601 0.3060 0.5334
O 0.5326 0.6746 0.9698
O 0.1423 0.4592 0.9683
O 0.3197 0.8632 0.9708
O 0.5589 0.8608 0.4714
O 0.3058 0.4460 0.4693
O 0.1409 0.6882 0.4701
O 0.0969 0.6368 0.3713
O 0.5409 0.9078 0.3688
O 0.3593 0.4609 0.3704
O 0.1339 0.4658 0.8675
O 0.3372 0.8718 0.8655
O 0.5329 0.6612 0.8690
O 0.0150 0.8217 0.4178
O 0.8234 0.9945 0.4143
O 0.1799 0.1913 0.4163
O 0.0272 0.2028 0.9186
O 0.1667 0.9770 0.9175
O 0.7926 0.8269 0.9202
O 0.9892 0.1851 0.5878
O 0.1974 0.0189 0.5899
O 0.8267 0.8027 0.5871
O 0.0027 0.8130 0.0811
O 0.8077 0.9982 0.0841
O 0.1889 0.2025 0.0830
O 0.6932 0.1789 0.7374
O 0.4722 0.3076 0.7376
O 0.8312 0.5274 0.7377
O 0.6967 0.5374 0.2540
O 0.8455 0.3100 0.2540
O 0.4727 0.1668 0.2552
O 0.6458 0.5206 0.9200
O 0.8775 0.3591 0.9180
O 0.4879 0.1388 0.9176
O 0.6643 0.1568 0.4301
O 0.4862 0.3444 0.4280
O 0.8571 0.5156 0.4296
O 0.3550 0.5079 0.0759
O 0.1563 0.6460 0.0800
O 0.5021 0.8446 0.0781
O 0.3472 0.8620 0.5766
O 0.5045 0.6416 0.5779
O 0.1375 0.4919 0.5750
O 0.3123 0.8459 0.2564
O 0.5347 0.6814 0.2566
O 0.1528 0.4614 0.2567
O 0.3161 0.4589 0.7439
O 0.1374 0.6735 0.7445
O 0.5315 0.8579 0.7437

Computed properties:
As for the space group: No. 1.



In order of appearance, final energy = -227.82; -118.33 eV/f.u..